# 1
Below is Mo2H9C2NO7 after structural relaxation, with properties calculated at the GGA+U level. Values from VASP.

Structure (Quantum ESPRESSO input):
```
&SYSTEM
  ibrav = 0, nat = 84, ntyp = 5
/
ATOMIC_SPECIES
Mo 95.94 Mo.upf
H 1.01 H.upf
C 12.01 C.upf
N 14.01 N.upf
O 16.00 O.upf
ATOMIC_POSITIONS crystal
Mo 0.014 0.293 0.621
Mo 0.093 0.093 0.386
Mo 0.216 0.216 0.868
Mo 0.293 0.014 0.621
Mo 0.707 0.986 0.379
Mo 0.784 0.784 0.132
Mo 0.907 0.907 0.614
Mo 0.986 0.707 0.379
H 0.011 0.708 0.946
H 0.065 0.609 0.815
H 0.110 0.801 0.840
H 0.152 0.640 0.134
H 0.199 0.890 0.160
H 0.201 0.539 0.999
H 0.279 0.571 0.490
H 0.292 0.989 0.054
H 0.317 0.657 0.849
H 0.343 0.683 0.151
H 0.360 0.848 0.866
H 0.375 0.375 0.198
H 0.391 0.935 0.185
H 0.406 0.555 0.411
H 0.429 0.721 0.510
H 0.445 0.594 0.589
H 0.461 0.799 0.001
H 0.478 0.478 0.764
H 0.522 0.522 0.236
H 0.539 0.201 0.999
H 0.555 0.406 0.411
H 0.571 0.279 0.490
H 0.594 0.445 0.589
H 0.609 0.065 0.815
H 0.625 0.625 0.802
H 0.640 0.152 0.134
H 0.657 0.317 0.849
H 0.683 0.343 0.151
H 0.708 0.011 0.946
H 0.721 0.429 0.510
H 0.799 0.461 0.001
H 0.801 0.110 0.840
H 0.848 0.360 0.866
H 0.890 0.199 0.160
H 0.935 0.391 0.185
H 0.989 0.292 0.054
C 0.096 0.715 0.893
C 0.233 0.646 0.076
C 0.285 0.904 0.107
C 0.354 0.767 0.924
C 0.646 0.233 0.076
C 0.715 0.096 0.893
C 0.767 0.354 0.924
C 0.904 0.285 0.107
N 0.241 0.759 0.000
N 0.390 0.610 0.500
N 0.610 0.390 0.500
N 0.759 0.241 0.000
O 0.008 0.008 0.796
O 0.047 0.820 0.583
O 0.065 0.286 0.813
O 0.119 0.640 0.376
O 0.121 0.121 0.602
O 0.170 0.443 0.631
O 0.180 0.953 0.417
O 0.242 0.242 0.383
O 0.243 0.243 0.048
O 0.286 0.065 0.813
O 0.360 0.881 0.624
O 0.365 0.365 0.860
O 0.443 0.170 0.631
O 0.457 0.457 0.278
O 0.543 0.543 0.722
O 0.557 0.830 0.369
O 0.635 0.635 0.140
O 0.640 0.119 0.376
O 0.714 0.935 0.187
O 0.757 0.757 0.952
O 0.758 0.758 0.617
O 0.820 0.047 0.583
O 0.830 0.557 0.369
O 0.879 0.879 0.398
O 0.881 0.360 0.624
O 0.935 0.714 0.187
O 0.953 0.180 0.417
O 0.992 0.992 0.204
CELL_PARAMETERS angstrom
5.741 -8.460 0.000
5.741 8.460 0.000
-3.689 0.000 9.483
```

energy of formation from the pure elements	-1022	meV/atom
total energy after the MP2020 corrections	-6.43	eV/atom
calculated total energy	-123.900	eV per formula unit
spin magnetization	0.0	μB/f.u.
excess energy over the best structure of this formula in the dataset	0	kJ/mol of formula units
V	921.19	Å³ per cell



# 2
Below is LiNiSO4F after structural relaxation, with properties calculated at the GGA+U level. Values from VASP.

Structure (Quantum ESPRESSO input):
```
&SYSTEM
  ibrav = 0, nat = 32, ntyp = 5
/
ATOMIC_SPECIES
Li 6.94 Li.upf
Ni 58.69 Ni.upf
S 32.06 S.upf
O 16.00 O.upf
F 19.00 F.upf
ATOMIC_POSITIONS crystal
Li 0.246 0.404 0.116
Li 0.254 0.096 0.383
Li 0.746 0.904 0.617
Li 0.754 0.596 0.884
Ni 0.250 0.250 0.749
Ni 0.250 0.750 0.750
Ni 0.750 0.250 0.250
Ni 0.750 0.750 0.251
S 0.226 0.836 0.087
S 0.274 0.664 0.413
S 0.726 0.336 0.587
S 0.774 0.164 0.913
O 0.056 0.265 0.909
O 0.116 0.795 0.388
O 0.148 0.461 0.304
O 0.201 0.856 0.946
O 0.299 0.644 0.554
O 0.353 0.039 0.196
O 0.384 0.705 0.112
O 0.444 0.235 0.591
O 0.556 0.765 0.409
O 0.616 0.295 0.888
O 0.647 0.961 0.804
O 0.701 0.356 0.446
O 0.799 0.144 0.054
O 0.852 0.539 0.696
O 0.884 0.205 0.612
O 0.944 0.735 0.091
F 0.105 0.948 0.692
F 0.395 0.552 0.808
F 0.605 0.448 0.192
F 0.895 0.052 0.308
CELL_PARAMETERS angstrom
5.432 0.000 0.000
-2.173 6.938 0.000
-1.941 -3.160 9.590
```

energy of formation from the pure elements	-2086	meV/atom
total energy after the MP2020 corrections	-6.28	eV/atom
calculated total energy	-44.469	eV per formula unit
spin magnetization	0.0	μB/f.u.
V	361.46	Å³ per cell



# 3
Below is Sr3Cr2O7 after structural relaxation, with properties calculated at the GGA+U level. Values from VASP.

Structure (Quantum ESPRESSO input):
```
&SYSTEM
  ibrav = 0, nat = 12, ntyp = 3
/
ATOMIC_SPECIES
Sr 87.62 Sr.upf
Cr 52.00 Cr.upf
O 16.00 O.upf
ATOMIC_POSITIONS crystal
Sr 0.000 0.000 0.000
Sr 0.329 0.329 0.668
Sr 0.671 0.671 0.332
Cr 0.047 0.047 0.449
Cr 0.953 0.953 0.551
O 0.014 0.650 0.436
O 0.350 0.986 0.564
O 0.471 0.471 0.642
O 0.500 0.500 0.000
O 0.529 0.529 0.358
O 0.650 0.014 0.436
O 0.986 0.350 0.564
CELL_PARAMETERS angstrom
7.834 -2.058 0.000
7.834 2.058 0.000
-2.929 0.000 8.862
```

energy of formation from the pure elements	-986	meV/atom
total energy after the MP2020 corrections	-5.90	eV/atom
calculated total energy	-63.594	eV per formula unit
spin magnetization	6.0	μB/f.u.
V	285.79	Å³ per cell



# 4
Below is Ni3H6SO3 after structural relaxation, with properties calculated at the GGA+U level. Values from VASP.

Structure (Quantum ESPRESSO input):
```
&SYSTEM
  ibrav = 0, nat = 13, ntyp = 4
/
ATOMIC_SPECIES
Ni 58.69 Ni.upf
H 1.01 H.upf
S 32.06 S.upf
O 16.00 O.upf
ATOMIC_POSITIONS crystal
Ni 0.000 0.000 0.000
Ni 0.078 0.535 0.833
Ni 0.498 0.980 0.284
H 0.219 0.058 0.207
H 0.291 0.252 0.616
H 0.391 0.899 0.581
H 0.421 0.269 0.696
H 0.782 0.131 0.702
H 0.846 0.542 0.677
S 0.543 0.806 0.030
O 0.279 0.852 0.862
O 0.562 0.950 0.531
O 0.923 0.223 0.824
CELL_PARAMETERS angstrom
5.047 0.000 0.000
-2.193 5.690 0.000
-1.833 -0.847 7.244
```

energy of formation from the pure elements	-167	meV/atom
total energy after the MP2020 corrections	-4.53	eV/atom
calculated total energy	-49.163	eV per formula unit
spin magnetization	4.0	μB/f.u.
excess energy over the best structure of this formula in the dataset	37	kJ/mol of formula units
V	208.01	Å³ per cell



# 5
Below is Li4NbCrW2O12 after structural relaxation, with properties calculated at the GGA+U level. Values from VASP.

Structure (Quantum ESPRESSO input):
```
&SYSTEM
  ibrav = 0, nat = 40, ntyp = 5
/
ATOMIC_SPECIES
Li 6.94 Li.upf
Nb 92.91 Nb.upf
Cr 52.00 Cr.upf
W 183.84 W.upf
O 16.00 O.upf
ATOMIC_POSITIONS crystal
Li 0.001 0.270 0.293
Li 0.001 0.269 0.793
Li 0.497 0.806 0.531
Li 0.497 0.806 0.031
Li 0.996 0.807 0.290
Li 0.996 0.807 0.790
Li 0.504 0.245 0.009
Li 0.504 0.245 0.509
Nb 0.503 0.512 0.259
Nb 0.503 0.512 0.759
Cr 0.001 0.997 0.000
Cr 0.001 0.997 0.500
W 0.997 0.498 0.509
W 0.506 0.009 0.247
W 0.997 0.498 0.009
W 0.506 0.009 0.747
O 0.307 0.431 0.403
O 0.307 0.431 0.903
O 0.117 0.736 0.494
O 0.117 0.736 0.994
O 0.317 0.047 0.595
O 0.317 0.047 0.095
O 0.182 0.431 0.653
O 0.182 0.431 0.153
O 0.794 0.932 0.652
O 0.794 0.932 0.152
O 0.374 0.748 0.745
O 0.374 0.748 0.245
O 0.622 0.248 0.743
O 0.622 0.248 0.243
O 0.199 0.050 0.841
O 0.199 0.050 0.341
O 0.821 0.556 0.840
O 0.821 0.556 0.340
O 0.694 0.936 0.894
O 0.694 0.936 0.394
O 0.886 0.257 0.988
O 0.886 0.257 0.488
O 0.684 0.556 0.086
O 0.684 0.556 0.586
CELL_PARAMETERS angstrom
0.005 2.935 -4.268
0.588 6.196 4.266
10.955 -0.020 -0.028
```

energy of formation from the pure elements	-2456	meV/atom
total energy after the MP2020 corrections	-8.09	eV/atom
calculated total energy	-142.681	eV per formula unit
spin magnetization	0.0	μB/f.u.
piezoelectric modulus e_max	3.16	C/m2
V	426.95	Å³ per cell



# 6
Below is Li3MoP2O8 after structural relaxation, with properties calculated at the GGA+U level. Values from VASP.

Structure (Quantum ESPRESSO input):
```
&SYSTEM
  ibrav = 0, nat = 28, ntyp = 4
/
ATOMIC_SPECIES
Li 6.94 Li.upf
Mo 95.94 Mo.upf
P 30.97 P.upf
O 16.00 O.upf
ATOMIC_POSITIONS crystal
Li 0.001 0.250 0.250
Li 0.219 0.750 0.082
Li 0.221 0.250 0.582
Li 0.779 0.750 0.418
Li 0.781 0.250 0.918
Li 0.999 0.750 0.750
Mo 0.500 0.250 0.250
Mo 0.500 0.750 0.750
P 0.264 0.750 0.400
P 0.265 0.250 0.900
P 0.735 0.750 0.100
P 0.736 0.250 0.600
O 0.068 0.750 0.506
O 0.070 0.250 0.007
O 0.262 0.526 0.284
O 0.262 0.974 0.284
O 0.263 0.026 0.784
O 0.263 0.474 0.784
O 0.475 0.750 0.498
O 0.476 0.250 0.998
O 0.524 0.750 0.002
O 0.525 0.250 0.502
O 0.737 0.526 0.216
O 0.737 0.974 0.216
O 0.738 0.026 0.716
O 0.738 0.474 0.716
O 0.930 0.750 0.993
O 0.932 0.250 0.494
CELL_PARAMETERS angstrom
6.242 0.000 0.000
0.000 5.560 0.000
0.000 0.000 8.415
```

energy of formation from the pure elements	-2595	meV/atom
total energy after the MP2020 corrections	-7.38	eV/atom
calculated total energy	-94.613	eV per formula unit
spin magnetization	3.0	μB/f.u.
excess energy over the best structure of this formula in the dataset	0	kJ/mol of formula units
V	292.06	Å³ per cell



# 7
Below is MgFe2H2O4 after structural relaxation, with properties calculated at the GGA+U level. Values from VASP.

Structure (Quantum ESPRESSO input):
```
&SYSTEM
  ibrav = 0, nat = 9, ntyp = 4
/
ATOMIC_SPECIES
Mg 24.30 Mg.upf
Fe 55.84 Fe.upf
H 1.01 H.upf
O 16.00 O.upf
ATOMIC_POSITIONS crystal
Mg 0.000 0.000 0.000
Fe 0.185 0.185 0.704
Fe 0.782 0.782 0.279
H 0.363 0.363 0.005
H 0.496 0.496 0.544
O 0.166 0.166 0.227
O 0.418 0.418 0.199
O 0.549 0.549 0.737
O 0.805 0.805 0.758
CELL_PARAMETERS angstrom
5.852 -1.583 0.000
5.852 1.583 0.000
-0.922 0.000 4.560
```

energy of formation from the pure elements	-1606	meV/atom
total energy after the MP2020 corrections	-6.62	eV/atom
calculated total energy	-52.316	eV per formula unit
spin magnetization	8.0	μB/f.u.
excess energy over the best structure of this formula in the dataset	43	kJ/mol of formula units
V	84.51	Å³ per cell



# 8
Below is Li4Mn2CrNi3P6O24 after structural relaxation, with properties calculated at the GGA+U level. Values from VASP.

Structure (Quantum ESPRESSO input):
```
&SYSTEM
  ibrav = 0, nat = 40, ntyp = 6
/
ATOMIC_SPECIES
Li 6.94 Li.upf
Mn 54.94 Mn.upf
Cr 52.00 Cr.upf
Ni 58.69 Ni.upf
P 30.97 P.upf
O 16.00 O.upf
ATOMIC_POSITIONS crystal
Li 0.000 0.000 0.000
Li 0.108 0.499 0.881
Li 0.484 0.715 0.288
Li 0.892 0.090 0.505
Mn 0.260 0.856 0.641
Mn 0.733 0.358 0.141
Cr 0.893 0.500 0.294
Ni 0.102 0.705 0.499
Ni 0.393 0.001 0.790
Ni 0.604 0.210 0.999
P 0.200 0.106 0.188
P 0.297 0.606 0.098
P 0.500 0.399 0.603
P 0.701 0.903 0.397
P 0.797 0.813 0.898
P 0.999 0.307 0.695
O 0.001 0.266 0.217
O 0.063 0.460 0.669
O 0.135 0.542 0.136
O 0.151 0.109 0.715
O 0.180 0.950 0.387
O 0.212 0.050 0.037
O 0.271 0.668 0.253
O 0.293 0.772 0.912
O 0.344 0.598 0.577
O 0.363 0.161 0.148
O 0.441 0.244 0.630
O 0.488 0.449 0.076
O 0.507 0.921 0.550
O 0.560 0.370 0.757
O 0.634 0.849 0.845
O 0.658 0.424 0.403
O 0.700 0.088 0.228
O 0.735 0.742 0.337
O 0.782 0.964 0.956
O 0.817 0.613 0.057
O 0.846 0.282 0.890
O 0.856 0.875 0.462
O 0.937 0.341 0.535
O 0.995 0.785 0.740
CELL_PARAMETERS angstrom
8.474 0.000 0.000
3.965 7.578 0.000
3.959 2.444 7.179
```

energy of formation from the pure elements	-2372	meV/atom
total energy after the MP2020 corrections	-7.48	eV/atom
calculated total energy	-269.603	eV per formula unit
spin magnetization	18.0	μB/f.u.
V	460.97	Å³ per cell



# 9
Below is Mn3CuO8 after structural relaxation, with properties calculated at the GGA+U level. Values from VASP.

Structure (Quantum ESPRESSO input):
```
&SYSTEM
  ibrav = 0, nat = 12, ntyp = 3
/
ATOMIC_SPECIES
Mn 54.94 Mn.upf
Cu 63.55 Cu.upf
O 16.00 O.upf
ATOMIC_POSITIONS crystal
Mn 0.000 0.500 0.500
Mn 0.500 0.000 0.500
Mn 0.500 0.500 0.000
Cu 0.500 0.500 0.500
O 0.262 0.262 0.705
O 0.262 0.705 0.262
O 0.265 0.265 0.265
O 0.295 0.738 0.738
O 0.705 0.262 0.262
O 0.735 0.735 0.735
O 0.738 0.295 0.738
O 0.738 0.738 0.295
CELL_PARAMETERS angstrom
2.916 1.683 4.789
-2.916 1.683 4.789
0.000 -3.367 4.789
```

energy of formation from the pure elements	-1454	meV/atom
total energy after the MP2020 corrections	-7.38	eV/atom
calculated total energy	-78.111	eV per formula unit
spin magnetization	8.0	μB/f.u.
excess energy over the best structure of this formula in the dataset	13	kJ/mol of formula units
V	141.04	Å³ per cell



# 10
Below is Li6Cr9P8O32 after structural relaxation, with properties calculated at the GGA+U level. Values from VASP.

Structure (Quantum ESPRESSO input):
```
&SYSTEM
  ibrav = 0, nat = 55, ntyp = 4
/
ATOMIC_SPECIES
Li 6.94 Li.upf
Cr 52.00 Cr.upf
P 30.97 P.upf
O 16.00 O.upf
ATOMIC_POSITIONS crystal
Li 0.040 0.251 0.268
Li 0.306 0.815 0.350
Li 0.356 0.603 0.996
Li 0.644 0.397 0.004
Li 0.694 0.185 0.650
Li 0.960 0.749 0.732
Cr 0.000 0.000 0.500
Cr 0.000 0.500 0.000
Cr 0.210 0.225 0.935
Cr 0.286 0.625 0.570
Cr 0.342 0.192 0.437
Cr 0.500 0.000 0.000
Cr 0.658 0.808 0.563
Cr 0.714 0.375 0.430
Cr 0.790 0.775 0.065
P 0.039 0.385 0.651
P 0.161 0.872 0.089
P 0.346 0.057 0.719
P 0.408 0.454 0.279
P 0.592 0.546 0.721
P 0.654 0.943 0.281
P 0.839 0.128 0.911
P 0.961 0.615 0.349
O 0.013 0.188 0.021
O 0.093 0.250 0.529
O 0.097 0.391 0.824
O 0.105 0.565 0.662
O 0.147 0.669 0.402
O 0.160 0.025 0.704
O 0.171 0.982 0.269
O 0.203 0.713 0.091
O 0.277 0.965 0.021
O 0.289 0.327 0.317
O 0.324 0.455 0.119
O 0.382 0.055 0.560
O 0.405 0.924 0.755
O 0.422 0.232 0.869
O 0.434 0.584 0.733
O 0.444 0.633 0.424
O 0.556 0.367 0.576
O 0.566 0.416 0.267
O 0.578 0.768 0.131
O 0.595 0.076 0.245
O 0.618 0.945 0.440
O 0.676 0.545 0.881
O 0.711 0.673 0.683
O 0.723 0.035 0.979
O 0.797 0.287 0.909
O 0.829 0.018 0.731
O 0.840 0.975 0.296
O 0.853 0.331 0.598
O 0.895 0.435 0.338
O 0.903 0.609 0.176
O 0.907 0.750 0.471
O 0.987 0.812 0.979
CELL_PARAMETERS angstrom
8.949 0.000 0.000
-2.122 8.800 0.000
-1.521 -3.875 8.210
```

energy of formation from the pure elements	-2530	meV/atom
total energy after the MP2020 corrections	-7.98	eV/atom
calculated total energy	-399.165	eV per formula unit
spin magnetization	36.0	μB/f.u.
V	646.56	Å³ per cell



# 11
Below is Li4Mn5Te3O16 after structural relaxation, with properties calculated at the GGA+U level. Values from VASP.

Structure (Quantum ESPRESSO input):
```
&SYSTEM
  ibrav = 0, nat = 28, ntyp = 4
/
ATOMIC_SPECIES
Li 6.94 Li.upf
Mn 54.94 Mn.upf
Te 127.60 Te.upf
O 16.00 O.upf
ATOMIC_POSITIONS crystal
Li 0.000 0.000 0.000
Li 0.008 0.995 0.491
Li 0.350 0.334 0.367
Li 0.695 0.668 0.893
Mn 0.172 0.157 0.711
Mn 0.318 0.311 0.003
Mn 0.338 0.824 0.210
Mn 0.646 0.659 0.485
Mn 0.833 0.328 0.210
Te 0.174 0.649 0.714
Te 0.665 0.160 0.711
Te 0.832 0.823 0.211
O 0.048 0.473 0.840
O 0.139 0.684 0.102
O 0.154 0.138 0.111
O 0.312 0.833 0.591
O 0.369 0.312 0.597
O 0.513 0.028 0.828
O 0.513 0.459 0.826
O 0.525 0.519 0.313
O 0.533 0.960 0.322
O 0.687 0.676 0.098
O 0.691 0.129 0.103
O 0.815 0.863 0.599
O 0.821 0.298 0.598
O 0.968 0.527 0.325
O 0.969 0.011 0.817
O 0.985 0.976 0.312
CELL_PARAMETERS angstrom
6.276 0.000 0.000
3.123 5.451 0.000
0.106 0.024 9.986
```

energy of formation from the pure elements	-1886	meV/atom
total energy after the MP2020 corrections	-6.96	eV/atom
calculated total energy	-175.508	eV per formula unit
spin magnetization	23.0	μB/f.u.
V	341.64	Å³ per cell